No. 1
Entry from the Materials Project database: an optimized crystal structure of Li4MnCo2O7 (PBE with a Hubbard U).

Cell and atoms, written as POSCAR:
```
Li4MnCo2O7
1.0
3.0224 0.0000 0.0000
0.5265 5.9741 0.0000
1.4095 1.6577 14.0639
Li Mn Co O
8 2 4 14
Cartesian
0.0000 0.0000 0.0000
0.2632 2.9871 0.0000
1.4714 1.6115 10.0610
1.8055 4.5608 6.0503
1.6150 1.4787 1.9632
3.3434 6.1531 12.1007
3.1529 3.0710 8.0136
3.4870 6.0203 4.0029
1.7365 4.6000 10.0612
3.2219 3.0318 4.0026
1.5361 1.5525 6.0343
1.8944 4.5789 1.9206
3.0641 3.0529 12.1433
3.4223 6.0793 8.0296
1.3914 1.7437 12.0590
1.7710 4.5476 12.0007
1.7048 4.6471 8.1020
1.5762 1.5082 7.9440
1.5153 1.5817 4.1122
1.9031 4.4799 3.8659
1.8867 4.4637 0.1886
3.0717 3.1681 13.8753
3.0553 3.1520 10.1980
3.4432 6.0501 9.9517
3.3822 6.1237 6.1199
3.2536 2.9847 5.9618
3.1874 3.0842 2.0632
3.5670 5.8881 2.0049
```

Space-group type: P-1
Volume (Å³ per atom): 9.07
Polymorph energy (0 for the lowest one) (eV per formula unit): 1.04
Mass density (g/cm³): 4.09

No. 2
Entry from the Materials Project database: an optimized crystal structure of Li5Mn2CoO8 (PBE with a Hubbard U).

Cell and atoms, written as POSCAR:
```
Li5Mn2CoO8
1.0
9.7162 -1.4364 0.0000
9.7162 1.4364 0.0000
-0.4117 0.0000 5.1165
Li Mn Co O
5 2 1 8
Cartesian
0.0000 0.0000 0.0000
4.8675 0.0000 3.7548
7.4622 0.0000 0.5626
9.5864 0.0000 2.4921
14.9497 0.0000 1.0984
11.9917 0.0000 4.4187
16.9541 0.0000 3.1149
2.4753 0.0000 1.8503
1.2467 0.0000 3.6306
3.7288 0.0000 0.1008
6.2221 0.0000 2.2443
8.2407 0.0000 3.9800
11.2389 0.0000 0.8574
13.1240 0.0000 2.8454
15.7073 0.0000 4.5695
18.2261 0.0000 1.6680
```

Space-group type: Cm
Volume (Å³ per atom): 8.93
Polymorph energy (0 for the lowest one) (eV per formula unit): 1.26
Mass density (g/cm³): 3.85

No. 3
Entry from the Materials Project database: an optimized crystal structure of Li2MnCoO4 (PBE with a Hubbard U).

Cell and atoms, written as POSCAR:
```
Li2MnCoO4
1.0
3.0598 0.0000 0.0000
-0.2088 5.0293 0.0000
-0.1072 -1.4577 4.8805
Li Mn Co O
2 1 1 4
Cartesian
0.0000 0.0000 0.0000
1.4255 2.5147 0.0000
-0.1580 1.7858 2.4402
1.4763 -0.7289 2.4402
-0.0905 0.1864 3.5466
1.1804 2.7345 3.5709
1.5635 0.8371 1.3096
2.8344 3.3851 1.3339
```

Space-group type: P-1
Volume (Å³ per atom): 9.39
Polymorph energy (0 for the lowest one) (eV per formula unit): 0.37
Mass density (g/cm³): 4.24

No. 4
Entry from the Materials Project database: an optimized crystal structure of Li2MnCoO4 (PBE with a Hubbard U).

Cell and atoms, written as POSCAR:
```
Li2MnCoO4
1.0
2.8667 0.0000 0.0000
1.3934 2.6752 0.0000
1.2220 -0.4434 19.4491
Li Mn Co O
4 2 2 8
Cartesian
0.0000 0.0000 0.0000
1.3343 0.5666 4.8588
2.7278 1.1599 9.6167
4.0937 1.6934 14.5364
1.2806 0.0838 12.0834
2.6551 0.6252 16.9888
2.7972 1.6344 2.4226
4.1649 2.1987 7.2354
1.2278 -0.0680 15.8465
1.3272 0.2448 8.3086
1.4530 0.7912 1.3127
2.7048 0.7737 13.2299
2.7412 1.4792 6.1611
4.0803 1.3186 18.1327
4.1161 2.0602 10.9418
4.1438 2.4853 3.5306
```

Space-group type: P1
Volume (Å³ per atom): 9.32
Polymorph energy (0 for the lowest one) (eV per formula unit): 0.52
Mass density (g/cm³): 4.27

No. 5
Entry from the Materials Project database: an optimized crystal structure of Li3Mn3CoO8 (PBE with a Hubbard U).

Cell and atoms, written as POSCAR:
```
Li3Mn3CoO8
1.0
2.8847 -5.1606 0.0000
2.8847 5.1606 0.0000
0.0000 0.0000 9.5359
Li Mn Co O
6 6 2 16
Cartesian
2.8847 3.3596 4.7680
1.5119 0.8926 4.7766
1.5119 -0.8926 0.0087
4.2576 0.8926 4.7766
4.2576 -0.8926 0.0087
2.8847 -3.3596 0.0000
1.4479 0.8652 2.1975
2.8847 3.4292 2.1793
1.4479 -0.8652 6.9655
4.3216 0.8652 2.1975
2.8847 -3.4292 6.9473
4.3216 -0.8652 6.9655
2.8847 1.6994 9.0323
2.8847 -1.6994 4.2644
2.8847 4.9934 5.8744
1.5698 2.4727 1.0392
2.8847 3.5398 8.0606
1.3662 0.7771 8.0153
1.3662 -0.7771 3.2474
2.8847 1.5581 3.3265
2.8847 0.1714 1.0563
4.1996 2.4727 1.0392
1.5698 -2.4727 5.8072
2.8847 -0.1714 5.8242
2.8847 -1.5581 8.0945
4.4033 0.7771 8.0153
4.4033 -0.7771 3.2474
2.8847 -3.5398 3.2926
4.1996 -2.4727 5.8072
2.8847 -4.9934 1.1065
```

Space-group type: Cmc2_1
Volume (Å³ per atom): 9.46
Polymorph energy (0 for the lowest one) (eV per formula unit): 0.44
Mass density (g/cm³): 4.36

No. 6
Entry from the Materials Project database: an optimized crystal structure of Li7Mn4CoO12 (PBE with a Hubbard U).

Cell and atoms, written as POSCAR:
```
Li7Mn4CoO12
1.0
5.9309 0.0000 0.0000
-2.0422 7.7566 0.0000
-1.2992 -4.0391 9.4610
Li Mn Co O
14 8 2 24
Cartesian
-0.1158 -0.8672 3.9919
-1.8205 2.8378 6.9898
-0.2060 2.9071 0.8062
-0.1856 1.8613 4.7389
1.3928 0.9023 2.4440
-0.0795 0.7657 8.6520
-0.2601 4.5848 5.4589
2.8495 -0.8672 4.0022
2.6689 2.9519 0.8090
1.1966 2.8153 7.0170
2.7750 1.8563 4.7221
2.7954 0.8104 8.6548
4.4099 0.8797 2.4712
2.7052 4.5848 5.4691
-1.7281 3.7650 3.2006
0.0165 -2.0780 7.9133
-0.4178 5.8082 1.5583
1.3555 -0.0529 6.2588
1.2339 3.7705 3.2022
3.0072 -2.0906 7.9027
2.5729 5.7956 1.5477
4.3175 -0.0475 6.2604
0.0000 0.0000 0.0000
2.9655 0.0000 0.0000
-1.6597 -0.6432 8.1836
-0.0619 -0.5232 1.8905
-1.7406 3.3790 4.9926
-0.1070 -1.3817 6.0383
-1.8461 2.4637 9.1733
-0.2384 2.5631 2.8148
1.3228 1.4027 0.3094
-0.1350 1.1493 6.6596
-0.2637 5.0970 3.4321
1.3625 0.3373 4.4691
-0.3011 4.2240 7.6080
1.2608 4.3822 1.2659
1.3286 -0.6646 8.1952
2.8905 -0.5064 1.8530
1.2269 3.3802 4.9919
2.8531 -1.3794 6.0289
2.7244 2.5683 2.8014
1.2666 2.3148 9.1516
2.8278 1.1544 6.6462
4.4355 1.2538 0.2877
2.6964 5.0993 3.4227
4.3300 0.3386 4.4684
2.6513 4.2408 7.5705
4.2491 4.3607 1.2774
```

Space-group type: P-1
Volume (Å³ per atom): 9.07
Polymorph energy (0 for the lowest one) (eV per formula unit): 0.91
Mass density (g/cm³): 3.96

No. 7
Entry from the Materials Project database: an optimized crystal structure of Li2MnCoO4 (PBE with a Hubbard U).

Cell and atoms, written as POSCAR:
```
Li2MnCoO4
1.0
1.4857 0.8577 19.4167
-1.4857 0.8577 19.4167
0.0000 -1.7155 19.4167
Li Mn Co O
4 2 2 8
Cartesian
0.0000 0.0000 0.0000
0.0000 0.0000 14.4959
0.0000 0.0000 29.1251
0.0000 0.0000 43.7542
0.0000 0.0000 21.8531
0.0000 0.0000 36.3970
0.0000 0.0000 7.2902
0.0000 0.0000 50.9599
0.0000 0.0000 3.5475
0.0000 0.0000 11.0580
0.0000 0.0000 18.1070
0.0000 0.0000 25.6223
0.0000 0.0000 32.6278
0.0000 0.0000 40.1431
0.0000 0.0000 47.1921
0.0000 0.0000 54.7026
```

Space-group type: R-3m
Volume (Å³ per atom): 9.28
Polymorph energy (0 for the lowest one) (eV per formula unit): 0.53
Mass density (g/cm³): 4.29

No. 8
Entry from the Materials Project database: an optimized crystal structure of Li3MnCoO5 (PBE with a Hubbard U).

Cell and atoms, written as POSCAR:
```
Li3MnCoO5
1.0
10.4341 -1.4552 0.0000
10.4341 1.4552 0.0000
-0.8339 0.0000 5.8487
Li Mn Co O
6 2 2 10
Cartesian
0.0000 0.0000 0.0000
-0.4169 0.0000 2.9243
4.0971 0.0000 0.5806
7.9003 0.0000 4.1504
12.1340 0.0000 1.6983
15.9373 0.0000 5.2681
8.2805 0.0000 1.1539
11.7538 0.0000 4.6948
3.6764 0.0000 3.5180
16.3580 0.0000 2.3307
2.0881 0.0000 0.1274
1.6386 0.0000 3.3879
5.7033 0.0000 3.7090
6.2177 0.0000 0.9859
10.0656 0.0000 1.4442
9.9688 0.0000 4.4045
13.8166 0.0000 4.8627
14.3311 0.0000 2.1397
18.3957 0.0000 2.4607
17.9462 0.0000 5.7212
```

Space-group type: C2/m
Volume (Å³ per atom): 8.88
Polymorph energy (0 for the lowest one) (eV per formula unit): 0.17
Mass density (g/cm³): 4.01

No. 9
Entry from the Materials Project database: an optimized crystal structure of Li7Mn2Co3O12 (PBE with a Hubbard U).

Cell and atoms, written as POSCAR:
```
Li7Mn2Co3O12
1.0
7.6504 -1.4566 0.0000
7.6504 1.4566 0.0000
-3.4466 0.0000 9.6285
Li Mn Co O
7 2 3 12
Cartesian
0.0000 0.0000 0.0000
-0.7012 0.0000 8.8676
1.1027 0.0000 3.9914
6.7688 0.0000 2.2870
5.0854 0.0000 7.3414
10.7515 0.0000 5.6371
12.5554 0.0000 0.7608
2.2902 0.0000 8.1052
9.5640 0.0000 1.5232
-1.7233 0.0000 4.8142
3.9483 0.0000 3.2037
7.9059 0.0000 6.4248
-1.0689 0.0000 6.7762
0.7044 0.0000 1.9785
3.2261 0.0000 1.2806
1.6011 0.0000 6.1397
6.1631 0.0000 0.2457
4.5934 0.0000 5.1464
7.2608 0.0000 4.4821
5.6912 0.0000 9.3828
10.2531 0.0000 3.4888
8.6281 0.0000 8.3479
11.1498 0.0000 7.6500
12.9231 0.0000 2.8523
```

Space-group type: C2/m
Volume (Å³ per atom): 8.94
Polymorph energy (0 for the lowest one) (eV per formula unit): 2.78
Mass density (g/cm³): 4.08

No. 10
Entry from the Materials Project database: an optimized crystal structure of Li4MnCo3O8 (PBE with a Hubbard U).

Cell and atoms, written as POSCAR:
```
Li4MnCo3O8
1.0
3.0383 0.0000 0.0000
-0.3009 6.0049 0.0000
-0.1678 -0.2824 16.1483
Li Mn Co O
8 2 6 16
Cartesian
0.0000 0.0000 0.0000
-0.0839 -0.1412 8.0742
-0.1840 2.9334 4.0282
1.2085 4.4035 6.0385
1.1417 4.2604 14.0991
1.4279 1.4622 2.0492
1.3611 1.3191 10.1098
2.7536 2.7892 12.1201
-0.1504 3.0025 0.0000
-0.2344 2.8613 8.0742
-0.0935 -0.1911 12.1132
1.2134 4.4724 2.0290
1.1529 4.3422 10.1188
1.4167 1.3804 6.0295
1.3562 1.2501 14.1193
2.6631 5.9137 4.0351
-0.3861 5.7916 10.1840
-0.1542 2.8210 6.1409
-0.0939 3.0442 1.9561
0.0201 -0.1704 14.0448
1.1722 4.4632 0.1061
1.1337 4.3086 8.1830
1.1746 4.5068 3.9351
1.1627 4.3546 12.0368
1.4070 1.3680 4.1115
1.3950 1.2158 12.2132
1.4360 1.4140 7.9653
1.3975 1.2594 16.0422
2.5495 5.8930 2.1035
2.6635 2.6784 14.1922
2.7239 2.9015 10.0074
2.9557 -0.0690 5.9643
```

Space-group type: P-1
Volume (Å³ per atom): 9.21
Polymorph energy (0 for the lowest one) (eV per formula unit): 0.48
Mass density (g/cm³): 4.37

No. 11
Entry from the Materials Project database: an optimized crystal structure of Li7Mn2Co3O12 (PBE with a Hubbard U).

Cell and atoms, written as POSCAR:
```
Li7Mn2Co3O12
1.0
4.9910 0.0000 0.0000
0.0000 8.7391 0.0000
-1.6228 0.0000 4.8272
Li Mn Co O
7 2 3 12
Cartesian
0.0000 0.0000 0.0000
-0.8114 1.3486 2.4136
-0.8114 4.3555 2.4136
-0.8114 7.3479 2.4136
1.6841 2.8453 2.4136
1.6841 5.8604 2.4136
1.6841 8.6860 2.4136
2.4955 1.4056 0.0000
2.4955 4.3397 0.0000
0.0000 2.8760 0.0000
0.0000 5.8829 0.0000
2.4955 7.3207 0.0000
0.8757 4.2986 1.0528
0.8896 1.5455 1.0616
0.8814 7.1733 1.1210
0.0248 2.9006 3.7798
0.0715 5.7075 3.7171
0.1374 0.0613 3.6989
3.2308 0.0613 1.1283
3.2967 5.7075 1.1101
3.3434 2.9006 1.0474
2.4868 7.1733 3.7062
2.4786 1.5455 3.7656
2.4925 4.2986 3.7745
```

Space-group type: P2
Volume (Å³ per atom): 8.77
Polymorph energy (0 for the lowest one) (eV per formula unit): 0.66
Mass density (g/cm³): 4.16

No. 12
Entry from the Materials Project database: an optimized crystal structure of Li4MnCo2O7 (PBE with a Hubbard U).

Cell and atoms, written as POSCAR:
```
Li4MnCo2O7
1.0
4.9931 0.0000 0.0000
1.2376 5.8388 0.0000
0.5397 0.0989 8.6969
Li Mn Co O
8 2 4 14
Cartesian
0.0000 0.0000 0.0000
0.6188 2.9194 0.0000
1.3725 1.3067 6.2642
2.7955 5.4674 3.7229
2.9932 3.7719 1.2288
3.7773 2.1658 7.4680
3.9749 0.4703 4.9740
5.3979 4.6309 2.4327
2.1962 2.5272 3.6972
4.5742 3.4105 4.9996
1.9766 4.2677 6.2403
2.3861 0.7607 1.1985
4.3843 5.1770 7.4984
4.7938 1.6699 2.4565
0.6003 1.5347 4.2182
1.3367 2.6991 1.9289
2.1663 5.7575 1.8164
2.8759 4.1235 7.9127
2.2463 1.0728 8.1701
3.5247 5.2521 5.7247
2.9981 2.3922 5.4861
3.7724 3.5454 3.2108
3.2457 0.6856 2.9722
4.5241 4.8648 0.5267
3.8945 1.8142 0.7841
4.6041 0.1801 6.8804
5.4337 3.2385 6.7679
6.1701 4.4029 4.4786
```

Space-group type: P-1
Volume (Å³ per atom): 9.06
Polymorph energy (0 for the lowest one) (eV per formula unit): 1.05
Mass density (g/cm³): 4.09